VASP calculation (r2SCAN) on PrGaPd after structural relaxation.

Properties
ΔE_f ... -0.868 eV per atom

abc: 7.266 4.588 7.633
angles: 90.00 90.00 90.00
Space group Pnma (No. 62)
Unique sites:
Pr 0.023 0.250 0.196 [4 per cell]
Ga 0.172 0.250 0.579 [4 per cell]
Pd 0.206 0.750 0.406 [4 per cell]